This record from the Materials Project database describes an optimized crystal structure of Ta9P2O25. The functional is PBE.

Formation enthalpy at 0 K = -2.94 eV/atom
Total DFT energy (no corrections) = -329.9 eV/cell

Structure (extended XYZ):
```
36
Lattice="-8.020 8.020 1.953 8.020 -8.020 1.953 8.020 8.020 -1.953" Properties=species:S:1:pos:R:3 pbc="T T T"
Ta 0.000 0.000 0.000
Ta 3.544 1.579 0.000
Ta 10.951 1.995 0.000
Ta 6.441 -4.476 1.953
Ta 1.995 5.089 0.000
Ta 6.024 2.931 1.953
Ta 1.579 12.495 0.000
Ta -2.931 6.024 1.953
Ta 4.476 6.441 1.953
P 8.020 0.000 0.976
P 0.000 8.020 0.976
O 11.570 0.238 0.000
O 1.862 0.802 0.000
O 8.997 1.389 0.000
O 7.217 -6.158 1.953
O 5.601 2.608 0.000
O 12.642 2.869 0.000
O 2.869 3.397 0.000
O 9.814 4.014 0.000
O 0.238 4.469 0.000
O 5.412 -2.419 1.953
O 4.014 6.226 0.000
O 1.389 7.042 0.000
O 0.000 0.000 1.953
O 6.631 0.977 1.953
O 4.006 1.794 1.953
O 2.608 10.439 0.000
O 7.782 3.550 1.953
O -1.794 4.006 1.953
O 5.150 4.623 1.953
O -4.623 5.150 1.953
O 2.419 5.412 1.953
O 0.802 14.178 0.000
O -0.977 6.631 1.953
O 6.158 7.217 1.953
O -3.550 7.782 1.953
```